Record 1
Computed, not measured: a geometry-optimized CoB10H23C13 structure at the PBE level of DFT.

Lattice parameters (Å, degrees): 10.685 10.610 17.674 90.00 101.46 90.00
Space group P2_1/c (No. 14)
One atom of each set of equivalent atoms:
1 Co 0.228 0.165 0.408 x4
2 B 0.169 0.211 0.285 x4
3 B 0.184 0.159 0.851 x4
4 B 0.244 0.146 0.766 x4
5 B 0.316 0.155 0.930 x4
6 B 0.343 0.209 0.263 x4
7 B 0.391 0.101 0.358 x4
8 B 0.410 0.140 0.791 x4
9 B 0.428 0.223 0.430 x4
10 B 0.456 0.130 0.893 x4
11 B 0.485 0.235 0.343 x4
12 H 0.065 0.549 0.873 x4
13 H 0.067 0.196 0.243 x4
14 H 0.075 0.581 0.461 x4
15 H 0.087 0.106 0.856 x4
16 H 0.114 0.532 0.740 x4
17 H 0.143 0.166 0.091 x4
18 H 0.143 0.637 0.141 x4
19 H 0.189 0.085 0.712 x4
20 H 0.201 0.603 0.329 x4
21 H 0.214 0.676 0.576 x4
22 H 0.243 0.609 0.804 x4
23 H 0.269 0.541 0.718 x4
24 H 0.291 0.574 0.976 x4
25 H 0.305 0.096 0.986 x4
26 H 0.319 0.130 0.569 x4
27 H 0.337 0.610 0.406 x4
28 H 0.358 0.616 0.309 x4
29 H 0.359 0.173 0.202 x4
30 H 0.408 0.708 0.162 x4
31 H 0.449 0.004 0.371 x4
32 H 0.460 0.076 0.749 x4
33 H 0.463 0.557 0.578 x4
34 H 0.497 0.188 0.488 x4
35 C 0.038 0.660 0.489 x4
36 C 0.042 0.129 0.438 x4
37 C 0.080 0.681 0.092 x4
38 C 0.083 0.206 0.040 x4
39 C 0.105 0.017 0.419 x4
40 C 0.118 0.716 0.555 x4
41 C 0.125 0.187 0.503 x4
42 C 0.217 0.529 0.765 x4
43 C 0.223 0.004 0.473 x4
44 C 0.239 0.112 0.522 x4
45 C 0.257 0.095 0.305 x4
46 C 0.301 0.574 0.347 x4
47 C 0.313 0.069 0.847 x4

* offset from the most stable computed form: 0 meV/atom
* calculated density: 1.172 Mg/m³
* DFT formation energy: -0.068 eV/atom

Record 2
Computed, not measured: a geometry-optimized Nb9PO25 structure at the PBE level of DFT.

Lattice parameters (Å, degrees): 15.868 15.868 3.898 90.00 90.00 90.00
Space group P4/n (No. 85, origin choice 2)
One atom of each set of equivalent atoms:
1 Nb 0.031 0.359 0.249 x8
2 Nb 0.081 0.864 0.744 x8
3 Nb 0.250 0.250 0.288 x2
4 P 0.250 0.750 0.000 x2
5 O 0.002 0.637 0.250 x8
6 O 0.031 0.077 0.246 x8
7 O 0.033 0.760 0.749 x8
8 O 0.094 0.895 0.255 x8
9 O 0.132 0.299 0.251 x8
10 O 0.185 0.701 0.218 x8
11 O 0.250 0.250 0.757 x2

* energy with MP2020 corrections: -9.3006 eV/atom
* calculated density: 4.287 Mg/m³
* DFT formation energy: -3.014 eV/atom